No. 1
The following is a DFT calculation (PBE-GGA) of an optimized crystal structure of KSr2I5.

Cell: 9.1586 10.0754 14.4300 Å, 89.93 90.00 90.00°
With the nearest neighbours (Å) after each atom.
Fractional positions:
I (0.8377, 0.0444, 0.9040)  4 Sr 3.31-3.55
I (0.6643, 0.4605, 0.4106)  2 Sr 3.26-3.38, 2 K 3.50-3.63
Sr (0.4776, 0.0020, 0.8189)  8 I 3.40-3.64
K (0.0177, 0.4908, 0.3203)  7 I 3.50-3.91
I (0.0418, 0.2199, 0.5028)  3 Sr 3.45-3.49, 1 K 3.80
Sr (0.0782, 0.2491, 0.0073)  7 I 3.26-3.49
Sr (0.5782, 0.7509, 0.4927)  7 I 3.26-3.49
K (0.5177, 0.5092, 0.1797)  7 I 3.50-3.91
I (0.3050, 0.2301, 0.2826)  3 Sr 3.40-3.50, 2 K 3.73-3.76
K (0.9823, 0.5092, 0.6797)  7 I 3.50-3.91
I (0.1643, 0.7791, 0.8163)  3 Sr 3.39-3.64, 1 K 3.75
K (0.4823, 0.4908, 0.8203)  7 I 3.50-3.91
Sr (0.9776, 0.9980, 0.6811)  8 I 3.40-3.64
I (0.1950, 0.2301, 0.7826)  3 Sr 3.40-3.50, 2 K 3.73-3.76
I (0.4582, 0.2199, 0.0028)  3 Sr 3.45-3.49, 1 K 3.80
I (0.3357, 0.7791, 0.3163)  3 Sr 3.39-3.64, 1 K 3.75
Sr (0.4218, 0.2491, 0.5073)  7 I 3.26-3.49
I (0.6950, 0.7699, 0.7174)  3 Sr 3.40-3.50, 2 K 3.73-3.76
I (0.8357, 0.2209, 0.1837)  3 Sr 3.39-3.64, 1 K 3.75
I (0.9582, 0.7801, 0.4972)  3 Sr 3.45-3.49, 1 K 3.80
I (0.8357, 0.4605, 0.9106)  2 Sr 3.26-3.38, 2 K 3.50-3.63
I (0.6643, 0.2209, 0.6837)  3 Sr 3.39-3.64, 1 K 3.75
I (0.6623, 0.0444, 0.4040)  4 Sr 3.31-3.55
I (0.1643, 0.5395, 0.0894)  2 Sr 3.26-3.38, 2 K 3.50-3.63
I (0.5418, 0.7801, 0.9972)  3 Sr 3.45-3.49, 1 K 3.80
I (0.1623, 0.9556, 0.0960)  4 Sr 3.31-3.55
Sr (0.0224, 0.0020, 0.3189)  8 I 3.40-3.64
I (0.8050, 0.7699, 0.2174)  3 Sr 3.40-3.50, 2 K 3.73-3.76
I (0.3357, 0.5395, 0.5894)  2 Sr 3.26-3.38, 2 K 3.50-3.63
Sr (0.9218, 0.7509, 0.9927)  7 I 3.26-3.49
I (0.3377, 0.9556, 0.5960)  4 Sr 3.31-3.55
Sr (0.5224, 0.9980, 0.1811)  8 I 3.40-3.64

Properties
Total energy after the MP2020 corrections   -27.2 eV per formula unit
Space group   P2_1/c

No. 2
The following is a DFT calculation (PBE-GGA) of an optimized crystal structure of Na3TeAs2O14.

Cell: 7.9742 7.9823 11.7094 Å, 90.26 90.20 119.55°
With the nearest neighbours (Å) after each atom.
Fractional positions:
O (0.9910, 0.2096, 0.3249)  1 Te 1.94
Na (0.9510, 0.4753, 0.2503)  6 O 2.39-2.46
O (0.5049, 0.8838, 0.4287)  1 As 1.76
Na (0.0491, 0.5245, 0.7497)  6 O 2.39-2.46
O (0.6674, 0.3324, 0.3664)  1 As 1.68
Na (0.4760, 0.9513, 0.7498)  6 O 2.39-2.46
O (0.8741, 0.5067, 0.5762)  1 As 1.74
Na (0.5244, 0.0489, 0.2495)  6 O 2.39-2.46
As (0.3343, 0.6660, 0.4904)  4 O 1.68-1.76
O (0.6266, 0.1148, 0.5712)  1 As 1.75
O (0.2190, 0.2095, 0.1755)  1 Te 1.94
O (0.0061, 0.7904, 0.8235)  1 Te 1.95
O (0.3634, 0.8720, 0.0779)  1 As 1.74
As (0.6706, 0.3350, 0.9908)  4 O 1.67-1.76
O (0.6192, 0.5050, 0.9287)  1 As 1.76
O (0.7909, 0.0097, 0.1745)  1 Te 1.94
O (0.4956, 0.1276, 0.9222)  1 As 1.74
O (0.0171, 0.2237, 0.6714)  1 Te 1.92
O (0.7768, 0.9832, 0.8288)  1 Te 1.92
O (0.7909, 0.7805, 0.3247)  1 Te 1.94
Te (0.9974, 0.0042, 0.7501)  6 O 1.92-1.95
O (0.2232, 0.0147, 0.3273)  1 Te 1.93
O (0.8865, 0.3758, 0.9286)  1 As 1.75
O (0.9848, 0.7763, 0.1724)  1 Te 1.93
O (0.3338, 0.6675, 0.6336)  1 As 1.68
O (0.3330, 0.6672, 0.8665)  1 As 1.67
O (0.6676, 0.3323, 0.1338)  1 As 1.67
Te (0.0015, 0.9978, 0.2499)  6 O 1.93-1.94
Na (0.4748, 0.5249, 0.7497)  6 O 2.38-2.47
As (0.3346, 0.6652, 0.0095)  4 O 1.67-1.76
O (0.1176, 0.4932, 0.0719)  1 As 1.76
As (0.6658, 0.3307, 0.5097)  4 O 1.68-1.75
O (0.1246, 0.6310, 0.4236)  1 As 1.74
O (0.5120, 0.6251, 0.0711)  1 As 1.75
O (0.2112, 0.2217, 0.8254)  1 Te 1.94
Na (0.5252, 0.4751, 0.2499)  6 O 2.39-2.47
O (0.3764, 0.4905, 0.4283)  1 As 1.75
O (0.2088, 0.9922, 0.6760)  1 Te 1.94
O (0.4927, 0.3763, 0.5721)  1 As 1.75
O (0.7800, 0.7883, 0.6756)  1 Te 1.94

Properties
Total energy after the MP2020 corrections   -106.0 eV per formula unit
Space group   P1

No. 3
The following is a DFT calculation (PBE-GGA) of an optimized crystal structure of LaCo4B.

Cell: 5.1225 5.1225 6.8339 Å, 90.00 90.00 120.00°
With the nearest neighbours (Å) after each atom.
Fractional positions:
B (0.3333, 0.6667, 0.0000)  6 Co 2.06
La (0.0000, 0.0000, 0.0000)  12 Co 2.94, 6 B 2.96
Co (0.5000, 0.5000, 0.2104)  2 B 2.06
La (0.0000, 0.0000, 0.5000)  18 Co 2.96-3.24
Co (0.0000, 0.5000, 0.7896)  2 B 2.06
Co (0.6667, 0.3333, 0.5000)  6 Co 2.47
B (0.6667, 0.3333, 0.0000)  6 Co 2.06
Co (0.5000, 0.0000, 0.2104)  2 B 2.06
Co (0.5000, 0.0000, 0.7896)  2 B 2.06
Co (0.0000, 0.5000, 0.2104)  2 B 2.06
Co (0.5000, 0.5000, 0.7896)  2 B 2.06
Co (0.3333, 0.6667, 0.5000)  6 Co 2.47

Properties
Space group   P6/mmm

No. 4
The following is a DFT calculation (PBE-GGA) of an optimized crystal structure of Li2CuSiO4.

Cell: 5.1522 6.2955 10.5236 Å, 90.00 90.00 90.00°
With the nearest neighbours (Å) after each atom.
Fractional positions:
Si (0.3070, 0.2500, 0.4234)  4 O 1.64-1.66
O (0.1265, 0.7500, 0.0825)  1 Si 1.65
O (0.3065, 0.4616, 0.8478)  1 Si 1.66
O (0.7898, 0.7500, 0.4277)  1 Si 1.64
O (0.8735, 0.2500, 0.9175)  1 Si 1.65
Li (0.2016, 0.5113, 0.6687)  4 O 1.93-2.05
Cu (0.1886, 0.7500, 0.4135)  4 O 1.94-2.06
O (0.8065, 0.9616, 0.6522)  1 Si 1.66
Li (0.7016, 0.4887, 0.8313)  4 O 1.93-2.05
O (0.2102, 0.2500, 0.5723)  1 Si 1.64
O (0.1935, 0.4616, 0.3478)  1 Si 1.66
O (0.3065, 0.0384, 0.8478)  1 Si 1.66
O (0.1935, 0.0384, 0.3478)  1 Si 1.66
O (0.6935, 0.9616, 0.1522)  1 Si 1.66
Li (0.7984, 0.4887, 0.3313)  4 O 1.93-2.05
Li (0.2016, 0.9887, 0.6687)  4 O 1.93-2.05
O (0.3735, 0.7500, 0.5825)  1 Si 1.65
Si (0.1930, 0.2500, 0.9234)  4 O 1.64-1.66
Cu (0.3114, 0.7500, 0.9135)  4 O 1.94-2.06
Si (0.8070, 0.7500, 0.0766)  4 O 1.64-1.66
Li (0.2984, 0.5113, 0.1687)  4 O 1.93-2.05
Li (0.7984, 0.0113, 0.3313)  4 O 1.93-2.05
Li (0.7016, 0.0113, 0.8313)  4 O 1.93-2.05
O (0.8065, 0.5384, 0.6522)  1 Si 1.66
O (0.7102, 0.7500, 0.9277)  1 Si 1.64
Cu (0.6886, 0.2500, 0.0865)  4 O 1.94-2.06
O (0.2898, 0.2500, 0.0723)  1 Si 1.64
Si (0.6930, 0.7500, 0.5766)  4 O 1.64-1.66
Cu (0.8114, 0.2500, 0.5865)  4 O 1.94-2.06
O (0.6265, 0.2500, 0.4175)  1 Si 1.65
O (0.6935, 0.5384, 0.1522)  1 Si 1.66
Li (0.2984, 0.9887, 0.1687)  4 O 1.93-2.05

Properties
Total energy after the MP2020 corrections   -51.9 eV per formula unit
Space group   Pnma
Relative energy among the computed polymorphs   0 meV per atom

No. 5
The following is a DFT calculation (PBE-GGA) of an optimized crystal structure of BaSrLaBiO6.

Cell: 6.1787 6.2563 8.7959 Å, 90.14 89.67 89.94°
With the nearest neighbours (Å) after each atom.
Fractional positions:
Bi (0.0000, 0.5000, 0.0000)  6 O 2.15-2.17
O (0.9026, 0.5155, 0.7641)  1 Bi 2.17, 1 La 2.40
O (0.7779, 0.8005, 0.4648)  1 Bi 2.14, 1 La 2.35
O (0.4260, 0.9533, 0.2633)  1 Bi 2.15, 1 La 2.38
O (0.8022, 0.7759, 0.0437)  1 Bi 2.15, 1 La 2.37
Ba (0.0071, 0.9670, 0.7497)  6 O 2.70-2.99
O (0.0974, 0.4845, 0.2359)  1 Bi 2.17, 1 La 2.40
Ba (0.9929, 0.0330, 0.2503)  6 O 2.70-2.99
Sr (0.4907, 0.4623, 0.7485)  4 O 2.57-2.65
O (0.2782, 0.6959, 0.9476)  1 Bi 2.16, 1 La 2.39
La (0.5000, 0.0000, 0.0000)  6 O 2.37-2.39
O (0.5740, 0.0467, 0.7367)  1 Bi 2.15, 1 La 2.38
O (0.6896, 0.2822, 0.4482)  1 Bi 2.17, 1 La 2.40
Sr (0.5093, 0.5377, 0.2515)  4 O 2.57-2.65
Bi (0.5000, 0.0000, 0.5000)  6 O 2.14-2.17
O (0.7218, 0.3041, 0.0524)  1 Bi 2.16, 1 La 2.39
O (0.1978, 0.2241, 0.9563)  1 Bi 2.15, 1 La 2.37
O (0.3104, 0.7178, 0.5518)  1 Bi 2.17, 1 La 2.40
La (0.0000, 0.5000, 0.5000)  6 O 2.35-2.40
O (0.2221, 0.1995, 0.5352)  1 Bi 2.14, 1 La 2.35

Properties
Total energy after the MP2020 corrections   -70.0 eV per formula unit
Space group   P-1
Relative energy among the computed polymorphs   0 meV per atom

No. 6
The following is a DFT calculation (PBE-GGA) of an optimized crystal structure of Mg5Si9.

Cell: 6.8928 7.2168 12.6588 Å, 82.86 75.57 62.69°
With the nearest neighbours (Å) after each atom.
Fractional positions:
Mg (0.4993, 0.0143, 0.7306)  8 Si 2.84-3.15, 1 Mg 3.14
Si (0.1434, 0.3192, 0.9049)  4 Si 2.34-2.48
Si (0.7702, 0.2261, 0.7881)  4 Si 2.38-2.43
Si (0.0938, 0.0204, 0.8605)  4 Si 2.38-2.55
Mg (0.4830, 0.5670, 0.9515)  5 Si 2.70-3.00
Si (0.9077, 0.0543, 0.6136)  2 Si 2.42, 1 Mg 2.71
Mg (0.1509, 0.0265, 0.3684)  5 Si 2.77-2.91
Mg (0.7595, 0.9081, 0.4734)  5 Si 2.67-2.83
Si (0.4212, 0.5373, 0.2477)  3 Si 2.39-2.51
Mg (0.4593, 0.8679, 0.1160)  7 Si 2.72-3.02
Mg (0.8500, 0.7753, 0.8958)  7 Si 2.73-2.97
Mg (0.6397, 0.2005, 0.1095)  7 Si 2.64-2.93
Si (0.0960, 0.8834, 0.0463)  3 Si 2.43-2.46, 1 Mg 2.70
Si (0.5053, 0.1722, 0.9366)  2 Si 2.34-2.40
Si (0.1318, 0.4270, 0.2913)  3 Si 2.39-2.58
Mg (0.4980, 0.3606, 0.5533)  4 Si 2.72-2.89, 1 Mg 2.91
Si (0.5636, 0.6893, 0.5999)  2 Si 2.40, 1 Mg 2.67
Si (0.7197, 0.2117, 0.3113)  3 Si 2.43-2.51
Si (0.1883, 0.6234, 0.4285)  2 Si 2.41-2.58, 2 Mg 2.68-2.70
Si (0.8434, 0.4880, 0.0566)  3 Si 2.40-2.45
Si (0.5871, 0.9649, 0.2844)  2 Si 2.43-2.47, 2 Mg 2.64-2.67
Mg (0.6476, 0.6028, 0.3806)  5 Si 2.64-2.94, 1 Mg 2.91
Si (0.7485, 0.5723, 0.7500)  3 Si 2.40-2.43
Si (0.9151, 0.6934, 0.1686)  4 Si 2.43-2.47
Si (0.1433, 0.4666, 0.7270)  3 Si 2.37-2.42
Mg (0.0159, 0.3730, 0.5450)  5 Si 2.70-2.91
Si (0.1882, 0.7843, 0.7024)  4 Si 2.40-2.55
Si (0.0300, 0.1705, 0.1581)  3 Si 2.43-2.46, 1 Mg 2.72

Properties
Total energy after the MP2020 corrections   -54.6 eV per formula unit
Space group   P1
Relative energy among the computed polymorphs   7 meV per atom

No. 7
The following is a DFT calculation (PBE-GGA) of an optimized crystal structure of Sr2Mg17.

Cell: 10.5087 10.5087 10.3117 Å, 90.00 90.00 120.00°
With the nearest neighbours (Å) after each atom.
Fractional positions:
Mg (0.3333, 0.6667, 0.3979)  7 Mg 3.05-3.31
Mg (0.6325, 0.9615, 0.2500)  8 Mg 3.05-3.20
Mg (0.8349, 0.1651, 0.4792)  9 Mg 3.04-3.31
Mg (0.3303, 0.1651, 0.0208)  9 Mg 3.04-3.31
Mg (0.6710, 0.0385, 0.7500)  8 Mg 3.05-3.20
Mg (0.9615, 0.3290, 0.7500)  8 Mg 3.05-3.20
Mg (0.5000, 0.0000, 0.0000)  10 Mg 3.05-3.21
Mg (0.6667, 0.3333, 0.6021)  7 Mg 3.05-3.31
Mg (0.6710, 0.6325, 0.7500)  8 Mg 3.05-3.20
Sr (0.3333, 0.6667, 0.7500)  20 Mg 3.63-3.98
Mg (0.0385, 0.6710, 0.2500)  8 Mg 3.05-3.20
Mg (0.6325, 0.6710, 0.2500)  8 Mg 3.05-3.20
Mg (0.8349, 0.6697, 0.0208)  9 Mg 3.04-3.31
Mg (0.1651, 0.3303, 0.5208)  9 Mg 3.04-3.31
Mg (0.3333, 0.6667, 0.1021)  7 Mg 3.05-3.31
Mg (0.3675, 0.3290, 0.7500)  8 Mg 3.05-3.20
Sr (0.6667, 0.3333, 0.2500)  20 Mg 3.63-3.98
Mg (0.1651, 0.8349, 0.9792)  9 Mg 3.04-3.31
Mg (0.0385, 0.3675, 0.2500)  8 Mg 3.05-3.20
Mg (0.1651, 0.3303, 0.9792)  9 Mg 3.04-3.31
Mg (0.0000, 0.5000, 0.0000)  10 Mg 3.05-3.21
Mg (0.3303, 0.1651, 0.4792)  9 Mg 3.04-3.31
Mg (0.3290, 0.3675, 0.2500)  8 Mg 3.05-3.20
Mg (0.9615, 0.6325, 0.7500)  8 Mg 3.05-3.20
Mg (0.5000, 0.5000, 0.0000)  10 Mg 3.05-3.21
Mg (0.6697, 0.8349, 0.9792)  9 Mg 3.04-3.31
Sr (0.0000, 0.0000, 0.2500)  18 Mg 3.68-4.10
Mg (0.8349, 0.1651, 0.0208)  9 Mg 3.04-3.31
Sr (0.0000, 0.0000, 0.7500)  18 Mg 3.68-4.10
Mg (0.3290, 0.9615, 0.2500)  8 Mg 3.05-3.20
Mg (0.3675, 0.0385, 0.7500)  8 Mg 3.05-3.20
Mg (0.5000, 0.5000, 0.5000)  10 Mg 3.05-3.21
Mg (0.0000, 0.5000, 0.5000)  10 Mg 3.05-3.21
Mg (0.6667, 0.3333, 0.8979)  7 Mg 3.05-3.31
Mg (0.6697, 0.8349, 0.5208)  9 Mg 3.04-3.31
Mg (0.8349, 0.6697, 0.4792)  9 Mg 3.04-3.31
Mg (0.1651, 0.8349, 0.5208)  9 Mg 3.04-3.31
Mg (0.5000, 0.0000, 0.5000)  10 Mg 3.05-3.21

Properties
Space group   P6_3/mmc

No. 8
The following is a DFT calculation (PBE-GGA) of an optimized crystal structure of Pr2CrS4.

Cell: 7.1632 7.1632 7.1820 Å, 60.74 60.74 32.92°
With the nearest neighbours (Å) after each atom.
Fractional positions:
Pr (0.7115, 0.7115, 0.2922)  6 S 2.82-2.91
Pr (0.2885, 0.2885, 0.7078)  6 S 2.82-2.91
S (0.6316, 0.6316, 0.9929)  2 Cr 2.70, 3 Pr 2.87-2.91
Cr (0.0000, 0.0000, 0.0000)  6 S 2.43-2.70
S (0.1086, 0.1086, 0.6067)  1 Cr 2.43
S (0.8914, 0.8914, 0.3933)  1 Cr 2.43
S (0.3684, 0.3684, 0.0071)  2 Cr 2.70, 3 Pr 2.87-2.91

Properties
Total energy after the MP2020 corrections   -48.0 eV per formula unit
Space group   C2/m

Number 1: energy -101.07 eV/cell, DFT formation energy -1.8815 eV per atom. Number 2: energy -192.80 eV/cell, DFT formation energy -1.0158 eV per atom. Number 3: energy -82.59 eV/cell, DFT formation energy -0.2080 eV per atom. Number 4: energy -196.54 eV/cell, DFT formation energy -2.3436 eV per atom. Number 5: energy -131.75 eV/cell, DFT formation energy -2.7874 eV per atom. Number 6: energy -110.50 eV/cell, DFT formation energy 0.1584 eV per atom. Number 7: energy -62.25 eV/cell, DFT formation energy -0.0284 eV per atom. Number 8: energy -46.02 eV/cell, DFT formation energy -1.7534 eV per atom.